Compound: TbCu4Pd
Source: the Materials Project database
Functional: r2SCAN
Structure: optimized geometry

## Properties
formation energy	-0.368	eV/atom

The structure in CIF format:
```
data_TbCu4Pd
_chemical_formula_sum 'Tb1 Cu4 Pd1'
_symmetry_space_group_name_H-M 'P 1'
_symmetry_Int_Tables_number 1
_symmetry_space_group_name_Hall 'P 1'
_cell_length_a 4.9534
_cell_length_b 4.9534
_cell_length_c 4.9534
_cell_angle_alpha 60.00
_cell_angle_beta 60.00
_cell_angle_gamma 60.00
loop_
_atom_site_label
_atom_site_type_symbol
_atom_site_fract_x
_atom_site_fract_y
_atom_site_fract_z
Tb1 Tb 0.2500 0.2500 0.2500
Cu1 Cu 0.6261 0.6261 0.6261
Cu2 Cu 0.6261 0.6261 0.1217
Cu3 Cu 0.6261 0.1217 0.6261
Cu4 Cu 0.1217 0.6261 0.6261
Pd1 Pd 0.0000 0.0000 0.0000
```

---

Compound: Li2CdIn
Source: the Materials Project database
Functional: r2SCAN
Structure: optimized geometry

## Properties
formation energy	-0.314	eV/atom

The structure in CIF format:
```
data_Li2CdIn
_chemical_formula_sum 'Li2 Cd1 In1'
_symmetry_space_group_name_H-M 'P 1'
_symmetry_Int_Tables_number 1
_symmetry_space_group_name_Hall 'P 1'
_cell_length_a 4.7027
_cell_length_b 4.7027
_cell_length_c 4.7027
_cell_angle_alpha 60.00
_cell_angle_beta 60.00
_cell_angle_gamma 60.00
loop_
_atom_site_label
_atom_site_type_symbol
_atom_site_fract_x
_atom_site_fract_y
_atom_site_fract_z
Li1 Li 0.2500 0.2500 0.2500
Li2 Li 0.7500 0.7500 0.7500
Cd1 Cd 0.5000 0.5000 0.5000
In1 In 0.0000 0.0000 0.0000
```

---

Compound: RbGaBP2HO9
Source: the Materials Project database
Functional: r2SCAN
Structure: optimized geometry

## Properties
formation energy	-2.343	eV/atom

The structure in CIF format:
```
data_RbGaBP2HO9
_chemical_formula_sum 'Rb4 Ga4 B4 P8 H4 O36'
_symmetry_space_group_name_H-M 'P 1'
_symmetry_Int_Tables_number 1
_symmetry_space_group_name_Hall 'P 1'
_cell_length_a 8.3675
_cell_length_b 9.3489
_cell_length_c 9.5540
_cell_angle_alpha 77.05
_cell_angle_beta 90.00
_cell_angle_gamma 90.00
loop_
_atom_site_label
_atom_site_type_symbol
_atom_site_fract_x
_atom_site_fract_y
_atom_site_fract_z
Rb1 Rb 0.8934 0.3101 0.0603
Rb2 Rb 0.3934 0.6899 0.4397
Rb3 Rb 0.1066 0.6899 0.9397
Rb4 Rb 0.6066 0.3101 0.5603
Ga1 Ga 0.8451 0.7037 0.5654
Ga2 Ga 0.1549 0.2963 0.4346
Ga3 Ga 0.6549 0.7037 0.0654
Ga4 Ga 0.3451 0.2963 0.9346
B1 B 0.5553 0.1661 0.1981
B2 B 0.0553 0.8339 0.3019
B3 B 0.4447 0.8339 0.8019
B4 B 0.9447 0.1661 0.6981
P1 P 0.4376 0.4292 0.2085
P2 P 0.0624 0.4292 0.7085
P3 P 0.5624 0.5708 0.7915
P4 P 0.9376 0.5708 0.2915
P5 P 0.2363 0.0827 0.2225
P6 P 0.2637 0.0827 0.7225
P7 P 0.7637 0.9173 0.7775
P8 P 0.7363 0.9173 0.2775
H1 H 0.5676 0.1049 0.0017
H2 H 0.0676 0.8951 0.4983
H3 H 0.4324 0.8951 0.9983
H4 H 0.9324 0.1049 0.5017
O1 O 0.3398 0.4193 0.0768
O2 O 0.8398 0.5807 0.4232
O3 O 0.6602 0.5807 0.9232
O4 O 0.1602 0.4193 0.5768
O5 O 0.1278 0.1498 0.3173
O6 O 0.6278 0.8502 0.1827
O7 O 0.1585 0.3979 0.8475
O8 O 0.8722 0.8502 0.6827
O9 O 0.9549 0.1908 0.5390
O10 O 0.4549 0.8092 0.9610
O11 O 0.0451 0.8092 0.4610
O12 O 0.5451 0.1908 0.0390
O13 O 0.9248 0.3111 0.7289
O14 O 0.4248 0.6889 0.7711
O15 O 0.0752 0.6889 0.2711
O16 O 0.5752 0.3111 0.2289
O17 O 0.2998 0.9154 0.7501
O18 O 0.7998 0.0846 0.7499
O19 O 0.7002 0.0846 0.2499
O20 O 0.2002 0.9154 0.2501
O21 O 0.2861 0.1498 0.5644
O22 O 0.7861 0.8502 0.9356
O23 O 0.7139 0.8502 0.4356
O24 O 0.2139 0.1498 0.0644
O25 O 0.0145 0.4220 0.3024
O26 O 0.5145 0.5780 0.1976
O27 O 0.9855 0.5780 0.6976
O28 O 0.4855 0.4220 0.8024
O29 O 0.0863 0.0885 0.7680
O30 O 0.5863 0.9115 0.7320
O31 O 0.9137 0.9115 0.2320
O32 O 0.4137 0.0885 0.2680
O33 O 0.3415 0.3979 0.3475
O34 O 0.8415 0.6021 0.1525
O35 O 0.6585 0.6021 0.6525
O36 O 0.3722 0.1498 0.8173
```

---

Compound: MoO3
Source: the Materials Project database
Functional: r2SCAN
Structure: optimized geometry

## Properties
formation energy	-2.075	eV/atom

The structure in CIF format:
```
data_MoO3
_chemical_formula_sum 'Mo2 O6'
_symmetry_space_group_name_H-M 'P 1'
_symmetry_Int_Tables_number 1
_symmetry_space_group_name_Hall 'P 1'
_cell_length_a 3.6810
_cell_length_b 3.9168
_cell_length_c 7.2815
_cell_angle_alpha 103.18
_cell_angle_beta 90.00
_cell_angle_gamma 90.00
loop_
_atom_site_label
_atom_site_type_symbol
_atom_site_fract_x
_atom_site_fract_y
_atom_site_fract_z
Mo1 Mo 0.2500 0.3353 0.2951
Mo2 Mo 0.7500 0.6647 0.7049
O1 O 0.2500 0.9078 0.3257
O2 O 0.7500 0.0922 0.6743
O3 O 0.7500 0.4456 0.3703
O4 O 0.2500 0.5544 0.6297
O5 O 0.2500 0.2773 0.0616
O6 O 0.7500 0.7227 0.9384
```

---

Compound: UPbO4
Source: the Materials Project database
Functional: r2SCAN
Structure: optimized geometry

## Properties
formation energy	-2.720	eV/atom

The structure in CIF format:
```
data_UPbO4
_chemical_formula_sum 'U4 Pb4 O16'
_symmetry_space_group_name_H-M 'P 1'
_symmetry_Int_Tables_number 1
_symmetry_space_group_name_Hall 'P 1'
_cell_length_a 5.5960
_cell_length_b 7.9691
_cell_length_c 8.2283
_cell_angle_alpha 90.00
_cell_angle_beta 90.00
_cell_angle_gamma 90.00
loop_
_atom_site_label
_atom_site_type_symbol
_atom_site_fract_x
_atom_site_fract_y
_atom_site_fract_z
U1 U 0.0000 0.0000 0.0000
U2 U 0.0000 0.5000 0.0000
U3 U 0.0000 0.5000 0.5000
U4 U 0.0000 0.0000 0.5000
Pb1 Pb 0.5053 0.2037 0.2500
Pb2 Pb 0.5053 0.2963 0.7500
Pb3 Pb 0.4947 0.7037 0.2500
Pb4 Pb 0.4947 0.7963 0.7500
O1 O 0.2979 0.9140 0.0781
O2 O 0.2979 0.5860 0.9219
O3 O 0.7021 0.4140 0.4219
O4 O 0.7021 0.0860 0.5781
O5 O 0.7021 0.0860 0.9219
O6 O 0.7021 0.4140 0.0781
O7 O 0.2979 0.5860 0.5781
O8 O 0.2979 0.9140 0.4219
O9 O 0.1552 0.2500 0.0000
O10 O 0.8448 0.7500 0.5000
O11 O 0.8448 0.7500 0.0000
O12 O 0.1552 0.2500 0.5000
O13 O 0.8667 0.0386 0.2500
O14 O 0.8667 0.4614 0.7500
O15 O 0.1333 0.5386 0.2500
O16 O 0.1333 0.9614 0.7500
```

---

Compound: Tc2O5F4
Source: the Materials Project database
Functional: r2SCAN
Structure: optimized geometry

## Properties
formation energy	-1.786	eV/atom

The structure in CIF format:
```
data_Tc2O5F4
_chemical_formula_sum 'Tc8 O20 F16'
_symmetry_space_group_name_H-M 'P 1'
_symmetry_Int_Tables_number 1
_symmetry_space_group_name_Hall 'P 1'
_cell_length_a 14.7581
_cell_length_b 5.2858
_cell_length_c 8.1190
_cell_angle_alpha 89.49
_cell_angle_beta 90.00
_cell_angle_gamma 90.00
loop_
_atom_site_label
_atom_site_type_symbol
_atom_site_fract_x
_atom_site_fract_y
_atom_site_fract_z
Tc1 Tc 0.1248 0.3224 0.6264
Tc2 Tc 0.3752 0.8224 0.6264
Tc3 Tc 0.6248 0.1776 0.3736
Tc4 Tc 0.3566 0.4837 0.1262
Tc5 Tc 0.8566 0.0163 0.8738
Tc6 Tc 0.8752 0.6776 0.3736
Tc7 Tc 0.6434 0.5163 0.8738
Tc8 Tc 0.1434 0.9837 0.1262
O1 O 0.0935 0.7064 0.1172
O2 O 0.5581 0.3175 0.8910
O3 O 0.5935 0.7936 0.8828
O4 O 0.9448 0.9257 0.3559
O5 O 0.3926 0.0052 0.7899
O6 O 0.0968 0.4851 0.4563
O7 O 0.9419 0.8175 0.8910
O8 O 0.8926 0.4948 0.2101
O9 O 0.9065 0.2936 0.8828
O10 O 0.5552 0.4257 0.3559
O11 O 0.4448 0.5743 0.6441
O12 O 0.1074 0.5052 0.7899
O13 O 0.0552 0.0743 0.6441
O14 O 0.5968 0.0149 0.5437
O15 O 0.6074 0.9948 0.2101
O16 O 0.4032 0.9851 0.4563
O17 O 0.4419 0.6825 0.1090
O18 O 0.0581 0.1825 0.1090
O19 O 0.9032 0.5149 0.5437
O20 O 0.4065 0.2064 0.1172
F1 F 0.3162 0.5076 0.9108
F2 F 0.7559 0.7811 0.3836
F3 F 0.8162 0.9924 0.0892
F4 F 0.1601 0.9957 0.3513
F5 F 0.8399 0.0043 0.6487
F6 F 0.7315 0.2030 0.8541
F7 F 0.6601 0.5043 0.6487
F8 F 0.2441 0.2189 0.6164
F9 F 0.2559 0.7189 0.6164
F10 F 0.2685 0.7970 0.1459
F11 F 0.3399 0.4957 0.3513
F12 F 0.7685 0.7030 0.8541
F13 F 0.2315 0.2970 0.1459
F14 F 0.1838 0.0076 0.9108
F15 F 0.7441 0.2811 0.3836
F16 F 0.6838 0.4924 0.0892
```

---

Compound: RbCaBr3
Source: the Materials Project database
Functional: r2SCAN
Structure: optimized geometry

## Properties
formation energy	-2.217	eV/atom

The structure in CIF format:
```
data_RbCaBr3
_chemical_formula_sum 'Rb4 Ca4 Br12'
_symmetry_space_group_name_H-M 'P 1'
_symmetry_Int_Tables_number 1
_symmetry_space_group_name_Hall 'P 1'
_cell_length_a 7.7812
_cell_length_b 8.1155
_cell_length_c 11.1565
_cell_angle_alpha 90.00
_cell_angle_beta 90.00
_cell_angle_gamma 90.00
loop_
_atom_site_label
_atom_site_type_symbol
_atom_site_fract_x
_atom_site_fract_y
_atom_site_fract_z
Rb1 Rb 0.0208 0.4358 0.2500
Rb2 Rb 0.9792 0.5642 0.7500
Rb3 Rb 0.5208 0.0642 0.7500
Rb4 Rb 0.4792 0.9358 0.2500
Ca1 Ca 0.0000 0.0000 0.0000
Ca2 Ca 0.5000 0.5000 0.0000
Ca3 Ca 0.0000 0.0000 0.5000
Ca4 Ca 0.5000 0.5000 0.5000
Br1 Br 0.2989 0.2047 0.0446
Br2 Br 0.7011 0.7953 0.9554
Br3 Br 0.7989 0.2953 0.9554
Br4 Br 0.7011 0.7953 0.5446
Br5 Br 0.2011 0.7047 0.0446
Br6 Br 0.2989 0.2047 0.4554
Br7 Br 0.2011 0.7047 0.4554
Br8 Br 0.7989 0.2953 0.5446
Br9 Br 0.5872 0.5191 0.2500
Br10 Br 0.4128 0.4809 0.7500
Br11 Br 0.0872 0.9809 0.7500
Br12 Br 0.9128 0.0191 0.2500
```